No. 1
# NaZr2SN2Cl

A relaxed NaZr2SN2Cl crystal (PBE, the Materials Project database).

Unit cell a=10.2334 b=7.3652 c=6.4057 alpha=90.00 beta=101.78 gamma=90.00
Element x y z (fractional)
Na (0.0051, 0.1250, 0.2592)
Na (0.0051, 0.3750, 0.7592)
Na (0.9949, 0.6250, 0.2408)
Na (0.9949, 0.8750, 0.7408)
Zr (0.3684, 0.1334, 0.0274)
Zr (0.3684, 0.3666, 0.5274)
Zr (0.3739, 0.6190, 0.0542)
Zr (0.3739, 0.8810, 0.5542)
Zr (0.6261, 0.1190, 0.4458)
Zr (0.6261, 0.3810, 0.9458)
Zr (0.6316, 0.6334, 0.4726)
Zr (0.6316, 0.8666, 0.9726)
S (0.1915, 0.1227, 0.6470)
S (0.1915, 0.3773, 0.1470)
S (0.8085, 0.6227, 0.8530)
S (0.8085, 0.8773, 0.3530)
N (0.4120, 0.6333, 0.4020)
N (0.4120, 0.8667, 0.9020)
N (0.4130, 0.1149, 0.3736)
N (0.4130, 0.3851, 0.8736)
N (0.5870, 0.6149, 0.1264)
N (0.5870, 0.8851, 0.6264)
N (0.5880, 0.1333, 0.0980)
N (0.5880, 0.3667, 0.5980)
Cl (0.1727, 0.6283, 0.6398)
Cl (0.1727, 0.8717, 0.1398)
Cl (0.8273, 0.1283, 0.8602)
Cl (0.8273, 0.3717, 0.3602)

Properties
Uncorrected energy, eV/atom: -7.48
MP2020-corrected energy, eV per atom: -7.64
Energy of formation from the pure elements, eV/atom: -1.77
Relative energy among the computed polymorphs, meV per atom: 0


No. 2
# NaTi5N5Cl5

A relaxed NaTi5N5Cl5 crystal (PBE, the Materials Project database).

Unit cell a=5.2179 b=9.4705 c=12.4546 alpha=69.83 beta=87.56 gamma=86.87
Element x y z (fractional)
Na (0.0020, 0.2356, 0.2438)
Na (0.9980, 0.7644, 0.7562)
Ti (0.0571, 0.3459, 0.5775)
Ti (0.1427, 0.2525, 0.8244)
Ti (0.2580, 0.9437, 0.9790)
Ti (0.3424, 0.8530, 0.2253)
Ti (0.4585, 0.5455, 0.3773)
Ti (0.5415, 0.4545, 0.6227)
Ti (0.6576, 0.1470, 0.7747)
Ti (0.7420, 0.0563, 0.0210)
Ti (0.8573, 0.7475, 0.1756)
Ti (0.9429, 0.6541, 0.4225)
N (0.0452, 0.9367, 0.1154)
N (0.1554, 0.6645, 0.2843)
N (0.2446, 0.5360, 0.5156)
N (0.3547, 0.2643, 0.6851)
N (0.4449, 0.1343, 0.9148)
N (0.5551, 0.8657, 0.0852)
N (0.6453, 0.7357, 0.3149)
N (0.7554, 0.4640, 0.4844)
N (0.8446, 0.3355, 0.7157)
N (0.9548, 0.0633, 0.8846)
Cl (0.0790, 0.6921, 0.0082)
Cl (0.1188, 0.9119, 0.3880)
Cl (0.2864, 0.2878, 0.4123)
Cl (0.3264, 0.5077, 0.7924)
Cl (0.4804, 0.8864, 0.8086)
Cl (0.5196, 0.1136, 0.1914)
Cl (0.6736, 0.4923, 0.2076)
Cl (0.7136, 0.7122, 0.5877)
Cl (0.8812, 0.0881, 0.6120)
Cl (0.9210, 0.3079, 0.9918)

Properties
Uncorrected energy, eV/atom: -7.30
MP2020-corrected energy, eV per atom: -7.49
Energy of formation from the pure elements, eV/atom: -1.76


No. 3
# NbN2Cl6

A relaxed NbN2Cl6 crystal (PBE, the Materials Project database).

Unit cell a=7.1486 b=7.1486 c=7.1486 alpha=60.00 beta=60.00 gamma=60.00
Element x y z (fractional)
Nb (0.0000, 0.0000, 0.0000)
N (0.2500, 0.2500, 0.2500)
N (0.7500, 0.7500, 0.7500)
Cl (0.2347, 0.2347, 0.7653)
Cl (0.2347, 0.7653, 0.2347)
Cl (0.2347, 0.7653, 0.7653)
Cl (0.7653, 0.2347, 0.2347)
Cl (0.7653, 0.2347, 0.7653)
Cl (0.7653, 0.7653, 0.2347)

Properties
Uncorrected energy, eV/atom: -3.77
MP2020-corrected energy, eV per atom: -4.18
Energy of formation from the pure elements, eV/atom: 0.03


The lowest MP2020-corrected energy belongs to which entry? NaZr2SN2Cl


Which of these has the highest energy of formation from the pure elements? NbN2Cl6


The lowest energy of formation from the pure elements belongs to which entry? NaZr2SN2Cl